(1)
Material: Nb2FeO6
Method: DFT, GGA+U
State: optimized geometry

Cell lengths 14.4902, 5.8787, 5.1131 Å; angles 90.00, 90.00, 90.00 degrees
With the nearest neighbours (Å) after each atom.
Space group Pbcn (No. 60)
Inequivalent atoms, fractional coordinates:
Nb 0.1609 0.1823 0.2456 (multiplicity 8)  3 O 1.83-1.97
Fe 0.0000 0.3336 0.7500 (multiplicity 4)  6 O 2.15-2.17
O 0.0802 0.3827 0.3988 (multiplicity 8)  1 Nb 1.83
O 0.0972 0.1025 0.9220 (multiplicity 8)  2 Nb 1.95-2.11, 1 Fe 2.15
O 0.2448 0.1273 0.5730 (multiplicity 8)  2 Nb 1.97-2.09



(2)
Material: Nb2FeO6
Method: DFT, GGA+U
State: optimized geometry

Cell lengths 5.3333, 5.8315, 14.9551 Å; angles 89.93, 89.58, 89.97 degrees
With the nearest neighbours (Å) after each atom.
Space group P1 (No. 1)
Inequivalent atoms, fractional coordinates:
Nb 0.0000 0.0000 0.0000 (multiplicity 1)  3 O 1.84-2.01
Nb 0.0054 0.4971 0.8302 (multiplicity 1)  3 O 1.83-2.01
Nb 0.0264 0.1589 0.5003 (multiplicity 1)  3 O 1.83-2.01
Nb 0.0319 0.6567 0.3308 (multiplicity 1)  3 O 1.83-2.01
Nb 0.5001 0.6563 0.9999 (multiplicity 1)  3 O 1.84-2.01
Nb 0.5056 0.1592 0.8300 (multiplicity 1)  3 O 1.83-2.01
Nb 0.5262 0.4961 0.5005 (multiplicity 1)  3 O 1.83-2.01
Nb 0.5318 0.9987 0.3309 (multiplicity 1)  3 O 1.83-2.01
Fe 0.2635 0.1778 0.1654 (multiplicity 1)  6 O 2.11-2.23
Fe 0.2660 0.6849 0.6652 (multiplicity 1)  6 O 2.11-2.19
Fe 0.7632 0.4779 0.1654 (multiplicity 1)  6 O 2.11-2.23
Fe 0.7646 0.9705 0.6654 (multiplicity 1)  6 O 2.11-2.19
O 0.1063 0.9408 0.5837 (multiplicity 1)  1 Nb 1.83
O 0.1076 0.4369 0.2476 (multiplicity 1)  1 Nb 1.83
O 0.1767 0.6863 0.9240 (multiplicity 1)  2 Nb 2.01-2.08
O 0.1786 0.1874 0.9063 (multiplicity 1)  2 Nb 2.01-2.08
O 0.2093 0.4251 0.5635 (multiplicity 1)  2 Nb 1.97-2.07, 1 Fe 2.17
O 0.2201 0.9212 0.2668 (multiplicity 1)  2 Nb 1.98-2.07, 1 Fe 2.14
O 0.3116 0.9202 0.0631 (multiplicity 1)  2 Nb 1.97-2.06, 1 Fe 2.16
O 0.3219 0.4263 0.7668 (multiplicity 1)  2 Nb 1.97-2.07, 1 Fe 2.16
O 0.3528 0.1865 0.4242 (multiplicity 1)  2 Nb 2.01-2.08
O 0.3552 0.6860 0.4066 (multiplicity 1)  2 Nb 2.01-2.08
O 0.4238 0.4356 0.0835 (multiplicity 1)  1 Nb 1.84
O 0.4244 0.9414 0.7468 (multiplicity 1)  1 Nb 1.83
O 0.6074 0.2188 0.2476 (multiplicity 1)  1 Nb 1.83
O 0.6067 0.7139 0.5836 (multiplicity 1)  1 Nb 1.83
O 0.6767 0.9700 0.9239 (multiplicity 1)  2 Nb 2.01-2.08
O 0.6787 0.4691 0.9064 (multiplicity 1)  2 Nb 2.01-2.08
O 0.7095 0.2291 0.5638 (multiplicity 1)  2 Nb 1.98-2.07, 1 Fe 2.16
O 0.7201 0.7342 0.2668 (multiplicity 1)  2 Nb 1.98-2.07, 1 Fe 2.14
O 0.8116 0.7362 0.0631 (multiplicity 1)  2 Nb 1.97-2.06, 1 Fe 2.16
O 0.8220 0.2308 0.7671 (multiplicity 1)  2 Nb 1.97-2.07, 1 Fe 2.17
O 0.8528 0.4683 0.4243 (multiplicity 1)  2 Nb 2.01-2.08
O 0.8552 0.9692 0.4065 (multiplicity 1)  2 Nb 2.01-2.08
O 0.9239 0.2207 0.0834 (multiplicity 1)  1 Nb 1.84
O 0.9248 0.7151 0.7468 (multiplicity 1)  1 Nb 1.83



(3)
Material: Nb2FeO6
Method: DFT, GGA+U
State: optimized geometry

Cell lengths 15.2827, 5.8985, 5.4680 Å; angles 90.00, 90.00, 90.00 degrees
With the nearest neighbours (Å) after each atom.
Space group Pbcn (No. 60)
Inequivalent atoms, fractional coordinates:
Nb 0.1622 0.1807 0.0635 (multiplicity 8)  3 O 1.84-1.91
Fe 0.0000 0.3404 0.7500 (multiplicity 4)  6 O 2.07-2.29
O 0.0774 0.4030 0.0521 (multiplicity 8)  1 Nb 1.84, 1 Fe 2.07
O 0.1060 0.0669 0.7243 (multiplicity 8)  1 Nb 1.91
O 0.2331 0.2952 0.3244 (multiplicity 8)  2 Nb 1.91-2.07



The calculated energies rank the structures as follows, beginning with the most stable: (1), (2), (3).